The following is a DFT calculation (PBE) of La2Al3Ge4 after structural relaxation.

Cell and atoms, written as CIF:
```
data_La2Al3Ge4
_chemical_formula_sum 'La8 Al12 Ge16'
_cell_length_a 6.149
_cell_length_b 15.288
_cell_length_c 8.070
_cell_angle_alpha 90.00
_cell_angle_beta 90.00
_cell_angle_gamma 90.00
_space_group_name_H-M_alt 'C m c e'
_space_group_IT_number 64
_space_group_name_Hall '-C 2ac 2'
loop_
_atom_site_label
_atom_site_type_symbol
_atom_site_fract_x
_atom_site_fract_y
_atom_site_fract_z
La1 La 0.000 0.114 0.083
Al1 Al 0.000 0.000 0.500
Al2 Al 0.250 0.216 0.750
Ge1 Ge 0.000 0.187 0.448
Ge2 Ge 0.250 0.049 0.750
```

As for the calculated formation energy: -522 meV/atom.

***

The following is a DFT calculation (PBE) of Er3Co6Sn5 after structural relaxation.

Cell and atoms, written as CIF:
```
data_Er3Co6Sn5
_chemical_formula_sum 'Er6 Co12 Sn10'
_cell_length_a 4.313
_cell_length_b 9.599
_cell_length_c 12.291
_cell_angle_alpha 90.00
_cell_angle_beta 90.00
_cell_angle_gamma 90.00
_space_group_name_H-M_alt 'I m m m'
_space_group_IT_number 71
_space_group_name_Hall '-I 2 2'
loop_
_atom_site_label
_atom_site_type_symbol
_atom_site_fract_x
_atom_site_fract_y
_atom_site_fract_z
Er1 Er 0.000 0.000 0.000
Er2 Er 0.000 0.000 0.317
Co1 Co 0.000 0.196 0.500
Co2 Co 0.000 0.273 0.108
Sn1 Sn 0.000 0.342 0.323
Sn2 Sn 0.000 0.500 0.000
```

As for the calculated formation energy: -336 meV/atom.

***

The following is a DFT calculation (PBE) of MoS2 after structural relaxation.

Cell and atoms, written as CIF:
```
data_MoS2
_chemical_formula_sum 'Mo3 S6'
_cell_length_a 3.1903
_cell_length_b 3.1903
_cell_length_c 32.3185
_cell_angle_alpha 90.00
_cell_angle_beta 90.00
_cell_angle_gamma 120.00
_space_group_name_H-M_alt 'P -6 m 2'
_space_group_IT_number 187
_space_group_name_Hall 'P -6 2'
loop_
_atom_site_label
_atom_site_type_symbol
_atom_site_fract_x
_atom_site_fract_y
_atom_site_fract_z
Mo1 Mo 0.0000 0.0000 0.0000
Mo2 Mo 0.6667 0.3333 0.2302
S1 S 0.0000 0.0000 0.1818
S2 S 0.0000 0.0000 0.2786
S3 S 0.6667 0.3333 0.0484
```

As for the calculated formation energy: -1201 meV/atom.

***

The following is a DFT calculation (PBE) of CaSi3Ir after structural relaxation.

Cell and atoms, written as CIF:
```
data_CaSi3Ir
_chemical_formula_sum 'Ca2 Si6 Ir2'
_cell_length_a 4.207
_cell_length_b 4.207
_cell_length_c 9.956
_cell_angle_alpha 90.00
_cell_angle_beta 90.00
_cell_angle_gamma 90.00
_space_group_name_H-M_alt 'I 4 m m'
_space_group_IT_number 107
_space_group_name_Hall 'I 4 -2'
loop_
_atom_site_label
_atom_site_type_symbol
_atom_site_fract_x
_atom_site_fract_y
_atom_site_fract_z
Ca1 Ca 0.000 0.000 0.000
Si1 Si 0.000 0.000 0.409
Si2 Si 0.000 0.500 0.259
Ir1 Ir 0.000 0.000 0.647
```

As for the calculated formation energy: -634 meV/atom.

***

The following is a DFT calculation (PBE) of Sr2CuSbO6 after structural relaxation.

Cell and atoms, written as CIF:
```
data_Sr2CuSbO6
_chemical_formula_sum 'Sr8 Cu4 Sb4 O24'
_cell_length_a 8.004
_cell_length_b 8.004
_cell_length_c 8.004
_cell_angle_alpha 90.00
_cell_angle_beta 90.00
_cell_angle_gamma 90.00
_space_group_name_H-M_alt 'F m -3 m'
_space_group_IT_number 225
_space_group_name_Hall '-F 4 2 3'
loop_
_atom_site_label
_atom_site_type_symbol
_atom_site_fract_x
_atom_site_fract_y
_atom_site_fract_z
Sr1 Sr 0.250 0.250 0.250
Cu1 Cu 0.000 0.000 0.000
Sb1 Sb 0.000 0.000 0.500
O1 O 0.000 0.000 0.250
```

As for the calculated formation energy: -2206 meV/atom.

***

The following is a DFT calculation (PBE) of FeRe3N6 after structural relaxation.

Cell and atoms, written as CIF:
```
data_FeRe3N6
_chemical_formula_sum 'Fe2 Re6 N12'
_cell_length_a 4.801
_cell_length_b 5.291
_cell_length_c 8.647
_cell_angle_alpha 90.00
_cell_angle_beta 118.68
_cell_angle_gamma 90.00
_space_group_name_H-M_alt 'P 1 21/c 1'
_space_group_IT_number 14
loop_
_space_group_symop_operation_xyz
'x,y,z'
'-x,-y,-z'
'-x,y+1/2,-z+1/2'
'x,-y+1/2,z+1/2'
loop_
_atom_site_label
_atom_site_type_symbol
_atom_site_fract_x
_atom_site_fract_y
_atom_site_fract_z
Fe1 Fe 0.000 0.000 0.000
Re1 Re 0.202 0.083 0.738
Re2 Re 0.500 0.000 0.500
N1 N 0.081 0.197 0.412
N2 N 0.244 0.680 0.412
N3 N 0.407 0.070 0.241
```

As for the calculated formation energy: 122 meV/atom.

***

The following is a DFT calculation (PBE) of Cs4Sn23 after structural relaxation.

Cell and atoms, written as CIF:
```
data_Cs4Sn23
_chemical_formula_sum 'Cs8 Sn46'
_cell_length_a 12.732
_cell_length_b 12.732
_cell_length_c 12.732
_cell_angle_alpha 90.00
_cell_angle_beta 90.00
_cell_angle_gamma 90.00
_space_group_name_H-M_alt 'P m -3 n'
_space_group_IT_number 223
_space_group_name_Hall '-P 4n 2 3'
loop_
_atom_site_label
_atom_site_type_symbol
_atom_site_fract_x
_atom_site_fract_y
_atom_site_fract_z
Cs1 Cs 0.000 0.000 0.000
Cs2 Cs 0.000 0.250 0.500
Sn1 Sn 0.000 0.307 0.118
Sn2 Sn 0.000 0.500 0.250
Sn3 Sn 0.184 0.184 0.184
```

As for the calculated formation energy: -166 meV/atom.

***

The following is a DFT calculation (PBE) of P2Pb3O8 after structural relaxation.

Cell and atoms, written as CIF:
```
data_P2Pb3O8
_chemical_formula_sum 'P6 Pb9 O24'
_cell_length_a 5.5642
_cell_length_b 5.5642
_cell_length_c 20.5312
_cell_angle_alpha 90.00
_cell_angle_beta 90.00
_cell_angle_gamma 120.00
_space_group_name_H-M_alt 'R -3 m'
_space_group_IT_number 166
_space_group_name_Hall '-R 3 2"'
loop_
_atom_site_label
_atom_site_type_symbol
_atom_site_fract_x
_atom_site_fract_y
_atom_site_fract_z
P1 P 0.0000 0.0000 0.0967
Pb1 Pb 0.0000 0.0000 0.2866
Pb2 Pb 0.0000 0.0000 0.5000
O1 O 0.0000 0.0000 0.1721
O2 O 0.0278 0.5139 0.7377
```

As for the calculated formation energy: -2300 meV/atom. The calculation puts the offset from the most stable computed form at 36 meV/atom.

***

The following is a DFT calculation (PBE) of CaAl4Si8O24 after structural relaxation.

Cell and atoms, written as CIF:
```
data_CaAl4Si8O24
_chemical_formula_sum 'Ca1 Al4 Si8 O24'
_cell_length_a 5.220
_cell_length_b 9.084
_cell_length_c 15.753
_cell_angle_alpha 73.52
_cell_angle_beta 80.59
_cell_angle_gamma 89.81
_space_group_name_H-M_alt 'P 1'
_space_group_IT_number 1
loop_
_space_group_symop_operation_xyz
'x,y,z'
loop_
_atom_site_label
_atom_site_type_symbol
_atom_site_fract_x
_atom_site_fract_y
_atom_site_fract_z
Ca1 Ca 0.000 0.000 0.000
Al1 Al 0.085 0.428 0.501
Al2 Al 0.098 0.757 0.501
Al3 Al 0.587 0.928 0.501
Al4 Al 0.600 0.257 0.500
Si1 Si 0.334 0.676 0.320
Si2 Si 0.338 0.680 0.681
Si3 Si 0.348 0.005 0.320
Si4 Si 0.352 0.009 0.681
Si5 Si 0.833 0.177 0.320
Si6 Si 0.837 0.181 0.681
Si7 Si 0.848 0.505 0.320
Si8 Si 0.852 0.509 0.681
O1 O 0.054 0.592 0.725
O2 O 0.058 0.059 0.713
O3 O 0.126 0.126 0.290
O4 O 0.131 0.595 0.276
O5 O 0.241 0.630 0.429
O6 O 0.323 0.324 0.439
O7 O 0.325 0.863 0.276
O8 O 0.325 0.935 0.429
O9 O 0.360 0.751 0.572
O10 O 0.360 0.823 0.725
O11 O 0.362 0.362 0.562
O12 O 0.444 0.056 0.572
O13 O 0.553 0.091 0.725
O14 O 0.559 0.558 0.711
O15 O 0.628 0.628 0.290
O16 O 0.633 0.093 0.276
O17 O 0.739 0.130 0.429
O18 O 0.823 0.823 0.440
O19 O 0.824 0.363 0.277
O20 O 0.825 0.435 0.429
O21 O 0.860 0.250 0.572
O22 O 0.861 0.322 0.725
O23 O 0.862 0.862 0.562
O24 O 0.946 0.554 0.572
```

As for the calculated formation energy: -2970 meV/atom.

***

The following is a DFT calculation (PBE) of DyUTe4 after structural relaxation.

Cell and atoms, written as CIF:
```
data_DyUTe4
_chemical_formula_sum 'Dy2 U2 Te8'
_cell_length_a 4.200
_cell_length_b 6.127
_cell_length_c 14.121
_cell_angle_alpha 90.00
_cell_angle_beta 90.00
_cell_angle_gamma 90.00
_space_group_name_H-M_alt 'I m m 2'
_space_group_IT_number 44
loop_
_space_group_symop_operation_xyz
'x,y,z'
'-x,-y,z'
'-x,y,z'
'x,-y,z'
'x+1/2,y+1/2,z+1/2'
'-x+1/2,-y+1/2,z+1/2'
'-x+1/2,y+1/2,z+1/2'
'x+1/2,-y+1/2,z+1/2'
loop_
_atom_site_label
_atom_site_type_symbol
_atom_site_fract_x
_atom_site_fract_y
_atom_site_fract_z
Dy1 Dy 0.000 0.000 0.000
U1 U 0.000 0.000 0.275
Te1 Te 0.000 0.252 0.640
Te2 Te 0.000 0.500 0.342
Te3 Te 0.000 0.500 0.933
```

As for the calculated formation energy: -1228 meV/atom.

***

The following is a DFT calculation (PBE) of ReO2 after structural relaxation.

Cell and atoms, written as CIF:
```
data_ReO2
_chemical_formula_sum 'Re4 O8'
_cell_length_a 5.603
_cell_length_b 4.881
_cell_length_c 5.662
_cell_angle_alpha 90.00
_cell_angle_beta 119.97
_cell_angle_gamma 90.00
_space_group_name_H-M_alt 'P 1 21/c 1'
_space_group_IT_number 14
loop_
_space_group_symop_operation_xyz
'x,y,z'
'-x,-y,-z'
'-x,y+1/2,-z+1/2'
'x,-y+1/2,z+1/2'
loop_
_atom_site_label
_atom_site_type_symbol
_atom_site_fract_x
_atom_site_fract_y
_atom_site_fract_z
Re1 Re 0.233 0.005 0.219
O1 O 0.107 0.723 0.381
O2 O 0.395 0.199 0.588
```

As for the calculated formation energy: -1822 meV/atom.

***

The following is a DFT calculation (PBE) of TlAuO2 after structural relaxation.

Cell and atoms, written as CIF:
```
data_TlAuO2
_chemical_formula_sum 'Tl3 Au3 O6'
_cell_length_a 3.5382
_cell_length_b 3.5382
_cell_length_c 18.9914
_cell_angle_alpha 90.00
_cell_angle_beta 90.00
_cell_angle_gamma 120.00
_space_group_name_H-M_alt 'R -3 m'
_space_group_IT_number 166
_space_group_name_Hall '-R 3 2"'
loop_
_atom_site_label
_atom_site_type_symbol
_atom_site_fract_x
_atom_site_fract_y
_atom_site_fract_z
Tl1 Tl 0.0000 0.0000 0.0000
Au1 Au 0.0000 0.0000 0.5000
O1 O 0.0000 0.0000 0.3922
```

As for the calculated formation energy: -773 meV/atom.

***

The following is a DFT calculation (PBE) of CsTb2Ag3Se5 after structural relaxation.

Cell and atoms, written as CIF:
```
data_CsTb2Ag3Se5
_chemical_formula_sum 'Cs4 Tb8 Ag12 Se20'
_cell_length_a 4.330
_cell_length_b 15.660
_cell_length_c 17.638
_cell_angle_alpha 90.00
_cell_angle_beta 90.00
_cell_angle_gamma 90.00
_space_group_name_H-M_alt 'C m c m'
_space_group_IT_number 63
_space_group_name_Hall '-C 2c 2'
loop_
_atom_site_label
_atom_site_type_symbol
_atom_site_fract_x
_atom_site_fract_y
_atom_site_fract_z
Cs1 Cs 0.000 0.062 0.250
Tb1 Tb 0.000 0.193 0.595
Ag1 Ag 0.000 0.344 0.250
Ag2 Ag 0.000 0.417 0.542
Se1 Se 0.000 0.182 0.070
Se2 Se 0.000 0.253 0.750
Se3 Se 0.000 0.431 0.116
```

As for the calculated formation energy: -1339 meV/atom.

***

The following is a DFT calculation (PBE) of Lu2RuRh after structural relaxation.

Cell and atoms, written as CIF:
```
data_Lu2RuRh
_chemical_formula_sum 'Lu8 Ru4 Rh4'
_cell_length_a 6.679
_cell_length_b 6.679
_cell_length_c 6.679
_cell_angle_alpha 90.00
_cell_angle_beta 90.00
_cell_angle_gamma 90.00
_space_group_name_H-M_alt 'F m -3 m'
_space_group_IT_number 225
_space_group_name_Hall '-F 4 2 3'
loop_
_atom_site_label
_atom_site_type_symbol
_atom_site_fract_x
_atom_site_fract_y
_atom_site_fract_z
Lu1 Lu 0.250 0.250 0.250
Ru1 Ru 0.000 0.000 0.000
Rh1 Rh 0.000 0.000 0.500
```

As for the calculated formation energy: -776 meV/atom.

***

The following is a DFT calculation (PBE) of CaB2H14N2 after structural relaxation.

Cell and atoms, written as CIF:
```
data_CaB2H14N2
_chemical_formula_sum 'Ca4 B8 H56 N8'
_cell_length_a 6.392
_cell_length_b 8.216
_cell_length_c 12.210
_cell_angle_alpha 90.00
_cell_angle_beta 90.00
_cell_angle_gamma 90.00
_space_group_name_H-M_alt 'P b c n'
_space_group_IT_number 60
loop_
_space_group_symop_operation_xyz
'x,y,z'
'-x,-y,-z'
'-x+1/2,-y+1/2,z+1/2'
'x+1/2,y+1/2,-z+1/2'
'x+1/2,-y+1/2,-z'
'-x+1/2,y+1/2,z'
'-x,y,-z+1/2'
'x,-y,z+1/2'
loop_
_atom_site_label
_atom_site_type_symbol
_atom_site_fract_x
_atom_site_fract_y
_atom_site_fract_z
Ca1 Ca 0.000 0.243 0.250
B1 B 0.234 0.479 0.653
H1 H 0.091 0.448 0.109
H2 H 0.101 0.298 0.885
H3 H 0.106 0.011 0.099
H4 H 0.181 0.335 0.661
H5 H 0.218 0.148 0.948
H6 H 0.218 0.166 0.476
H7 H 0.230 0.032 0.745
N1 N 0.245 0.258 0.912
```

As for the calculated formation energy: -409 meV/atom.